P:
# Ba3CaIr2O9 (PBE, relaxed)
# Symmetry: No. 15
data_Ba3CaIr2O9
_chemical_formula_sum 'Ba6 Ca2 Ir4 O18'
_cell_length_a 5.968
_cell_length_b 5.968
_cell_length_c 14.757
_cell_angle_alpha 90.65
_cell_angle_beta 90.65
_cell_angle_gamma 119.91
_space_group_name_H-M_alt 'P 1'
_space_group_IT_number 1
loop_
_space_group_symop_operation_xyz
'x,y,z'
loop_
_atom_site_label
_atom_site_type_symbol
_atom_site_fract_x
_atom_site_fract_y
_atom_site_fract_z
Ba1 Ba 0.001 0.999 0.750
Ba2 Ba 0.329 0.663 0.414
Ba3 Ba 0.337 0.671 0.086
Ba4 Ba 0.663 0.329 0.914
Ba5 Ba 0.671 0.337 0.586
Ba6 Ba 0.999 0.001 0.250
Ca1 Ca 0.000 0.000 0.000
Ca2 Ca 0.000 0.000 0.500
Ir1 Ir 0.324 0.657 0.837
Ir2 Ir 0.343 0.676 0.663
Ir3 Ir 0.657 0.324 0.337
Ir4 Ir 0.676 0.343 0.163
O1 O 0.024 0.511 0.744
O2 O 0.161 0.340 0.906
O3 O 0.161 0.804 0.911
O4 O 0.196 0.376 0.582
O5 O 0.196 0.839 0.589
O6 O 0.340 0.161 0.406
O7 O 0.376 0.196 0.082
O8 O 0.489 0.511 0.750
O9 O 0.489 0.976 0.756
O10 O 0.511 0.024 0.244
O11 O 0.511 0.489 0.250
O12 O 0.624 0.804 0.918
O13 O 0.660 0.839 0.594
O14 O 0.804 0.161 0.411
O15 O 0.804 0.624 0.418
O16 O 0.839 0.196 0.089
O17 O 0.839 0.660 0.094
O18 O 0.976 0.489 0.256

***

Q:
# Ba3CaIr2O9 (PBE, relaxed)
# Symmetry: No. 164
# Magnetization: 4.06 μB per cell
data_Ba3CaIr2O9
_chemical_formula_sum 'Ba3 Ca1 Ir2 O9'
_cell_length_a 5.898
_cell_length_b 5.898
_cell_length_c 7.252
_cell_angle_alpha 90.00
_cell_angle_beta 90.00
_cell_angle_gamma 120.00
_space_group_name_H-M_alt 'P 1'
_space_group_IT_number 1
loop_
_space_group_symop_operation_xyz
'x,y,z'
loop_
_atom_site_label
_atom_site_type_symbol
_atom_site_fract_x
_atom_site_fract_y
_atom_site_fract_z
Ba1 Ba 0.000 0.000 0.000
Ba2 Ba 0.333 0.667 0.666
Ba3 Ba 0.667 0.333 0.334
Ca1 Ca 0.000 0.000 0.500
Ir1 Ir 0.333 0.667 0.159
Ir2 Ir 0.667 0.333 0.841
O1 O 0.000 0.500 0.000
O2 O 0.178 0.357 0.314
O3 O 0.178 0.822 0.314
O4 O 0.357 0.178 0.686
O5 O 0.500 0.000 0.000
O6 O 0.500 0.500 0.000
O7 O 0.643 0.822 0.314
O8 O 0.822 0.178 0.686
O9 O 0.822 0.643 0.686

***

Last place for stability: Q